Material: Na2Zn2S3O12
Method: DFT, PBE
State: optimized geometry

abc: 8.850 8.850 22.579
angles: 90.38 89.62 120.52
Sites, in units of the cell vectors:
Na 0.365 0.365 0.250
Na 0.635 0.635 0.750
Na 0.031 0.698 0.583
Na 0.302 0.969 0.083
Na 0.698 0.031 0.917
Na 0.969 0.302 0.417
Na 0.000 0.000 0.500
Na 0.000 0.000 0.000
Na 0.667 0.333 0.833
Na 0.667 0.333 0.333
Na 0.333 0.667 0.167
Na 0.333 0.667 0.667
Zn 0.997 0.990 0.349
Zn 0.010 0.003 0.849
Zn 0.003 0.010 0.651
Zn 0.990 0.997 0.151
Zn 0.664 0.324 0.682
Zn 0.676 0.336 0.182
Zn 0.669 0.343 0.984
Zn 0.657 0.331 0.484
Zn 0.331 0.657 0.016
Zn 0.343 0.669 0.516
Zn 0.336 0.676 0.318
Zn 0.324 0.664 0.818
S 0.293 0.998 0.249
S 0.707 0.707 0.250
S 0.998 0.293 0.251
S 0.293 0.293 0.750
S 0.002 0.707 0.749
S 0.707 0.002 0.751
S 0.960 0.331 0.583
S 0.373 0.040 0.583
S 0.664 0.627 0.584
S 0.960 0.627 0.083
S 0.669 0.040 0.083
S 0.373 0.336 0.084
S 0.627 0.664 0.916
S 0.040 0.373 0.917
S 0.331 0.960 0.917
S 0.627 0.960 0.417
S 0.336 0.373 0.416
S 0.040 0.669 0.417
O 0.213 0.032 0.302
O 0.812 0.785 0.304
O 0.972 0.190 0.306
O 0.215 0.188 0.804
O 0.968 0.787 0.802
O 0.810 0.028 0.806
O 0.787 0.968 0.698
O 0.188 0.215 0.696
O 0.028 0.810 0.694
O 0.785 0.812 0.196
O 0.032 0.213 0.198
O 0.190 0.972 0.194
O 0.880 0.365 0.635
O 0.479 0.118 0.637
O 0.638 0.523 0.639
O 0.882 0.521 0.137
O 0.635 0.120 0.135
O 0.477 0.362 0.139
O 0.454 0.301 0.031
O 0.854 0.549 0.030
O 0.695 0.143 0.028
O 0.451 0.146 0.530
O 0.699 0.546 0.531
O 0.857 0.305 0.528
O 0.546 0.699 0.969
O 0.146 0.451 0.970
O 0.305 0.857 0.972
O 0.549 0.854 0.470
O 0.301 0.454 0.469
O 0.143 0.695 0.472
O 0.120 0.635 0.365
O 0.521 0.882 0.363
O 0.362 0.477 0.361
O 0.118 0.479 0.863
O 0.365 0.880 0.865
O 0.523 0.638 0.861
O 0.022 0.825 0.411
O 0.808 0.985 0.411
O 0.170 0.196 0.411
O 0.015 0.192 0.911
O 0.175 0.978 0.911
O 0.804 0.830 0.911
O 0.978 0.175 0.589
O 0.192 0.015 0.589
O 0.830 0.804 0.589
O 0.985 0.808 0.089
O 0.825 0.022 0.089
O 0.196 0.170 0.089
O 0.689 0.158 0.744
O 0.475 0.318 0.744
O 0.837 0.529 0.744
O 0.682 0.525 0.244
O 0.842 0.311 0.244
O 0.471 0.163 0.244
O 0.645 0.508 0.922
O 0.859 0.349 0.922
O 0.497 0.137 0.923
O 0.651 0.141 0.422
O 0.492 0.355 0.422
O 0.863 0.503 0.423
O 0.355 0.492 0.078
O 0.141 0.651 0.078
O 0.503 0.863 0.077
O 0.349 0.859 0.578
O 0.508 0.645 0.578
O 0.137 0.497 0.577
O 0.311 0.842 0.256
O 0.525 0.682 0.256
O 0.163 0.471 0.256
O 0.318 0.475 0.756
O 0.158 0.689 0.756
O 0.529 0.837 0.756

## Properties
ΔH_f (0 K) ... -1973 meV/atom
Volume ... 1523.52 Å³/cell
Energy with MP2020 corrections ... -6.023 eV/atom
E_tot ... -5.589 eV/atom

Material: NaSbO2
Method: DFT, PBE
State: optimized geometry

abc: 5.508 16.617 6.770
angles: 90.00 90.00 90.00
Sites, in units of the cell vectors:
Na 0.239 0.204 0.093
Na 0.239 0.296 0.593
Na 0.261 0.704 0.093
Na 0.261 0.796 0.593
Na 0.739 0.204 0.407
Na 0.739 0.296 0.907
Na 0.761 0.704 0.407
Na 0.761 0.796 0.907
Sb 0.249 0.083 0.583
Sb 0.249 0.417 0.083
Sb 0.251 0.583 0.583
Sb 0.251 0.917 0.083
Sb 0.749 0.083 0.917
Sb 0.749 0.417 0.417
Sb 0.751 0.583 0.917
Sb 0.751 0.917 0.417
O 0.078 0.625 0.828
O 0.078 0.875 0.328
O 0.181 0.674 0.420
O 0.181 0.826 0.920
O 0.319 0.174 0.420
O 0.319 0.326 0.920
O 0.422 0.125 0.828
O 0.422 0.375 0.328
O 0.578 0.625 0.672
O 0.578 0.875 0.172
O 0.681 0.674 0.080
O 0.681 0.826 0.580
O 0.819 0.174 0.080
O 0.819 0.326 0.580
O 0.922 0.125 0.672
O 0.922 0.375 0.172

## Properties
ΔH_f (0 K) ... -1854 meV/atom
Volume ... 619.63 Å³/cell
Energy with MP2020 corrections ... -5.691 eV/atom
E_tot ... -5.347 eV/atom

Material: NaSbO12
Method: DFT, PBE
State: optimized geometry

abc: 9.402 9.402 6.711
angles: 90.00 90.00 90.00
Sites, in units of the cell vectors:
Na 0.250 0.250 0.250
Na 0.750 0.750 0.750
Sb 0.250 0.250 0.750
Sb 0.750 0.750 0.250
O 0.061 0.663 0.698
O 0.117 0.198 0.953
O 0.124 0.836 0.101
O 0.163 0.939 0.198
O 0.164 0.624 0.601
O 0.198 0.383 0.547
O 0.302 0.117 0.547
O 0.336 0.876 0.601
O 0.337 0.561 0.198
O 0.376 0.664 0.101
O 0.383 0.302 0.953
O 0.439 0.837 0.698
O 0.561 0.163 0.302
O 0.617 0.698 0.047
O 0.624 0.336 0.899
O 0.663 0.439 0.802
O 0.664 0.124 0.399
O 0.698 0.883 0.453
O 0.802 0.617 0.453
O 0.836 0.376 0.399
O 0.837 0.061 0.802
O 0.876 0.164 0.899
O 0.883 0.802 0.047
O 0.939 0.337 0.302

## Properties
ΔH_f (0 K) ... -381 meV/atom
Volume ... 593.26 Å³/cell
Energy with MP2020 corrections ... -5.011 eV/atom
E_tot ... -4.873 eV/atom

Material: Na2Sb4O7
Method: DFT, PBE
State: optimized geometry

abc: 10.309 10.309 5.770
angles: 104.77 104.77 113.40
Sites, in units of the cell vectors:
Na 0.004 0.820 0.917
Na 0.180 0.996 0.583
Na 0.820 0.004 0.417
Na 0.996 0.180 0.083
Sb 0.098 0.617 0.317
Sb 0.227 0.364 0.743
Sb 0.364 0.227 0.243
Sb 0.383 0.902 0.183
Sb 0.617 0.098 0.817
Sb 0.636 0.773 0.757
Sb 0.773 0.636 0.257
Sb 0.902 0.383 0.683
O 0.007 0.270 0.504
O 0.114 0.483 0.969
O 0.191 0.809 0.250
O 0.195 0.221 0.924
O 0.221 0.195 0.424
O 0.270 0.007 0.004
O 0.483 0.114 0.469
O 0.517 0.886 0.531
O 0.730 0.993 0.996
O 0.779 0.805 0.576
O 0.805 0.779 0.076
O 0.809 0.191 0.750
O 0.886 0.517 0.031
O 0.993 0.730 0.496

## Properties
ΔH_f (0 K) ... -1856 meV/atom
Volume ... 498.40 Å³/cell
Energy with MP2020 corrections ... -5.994 eV/atom
E_tot ... -5.624 eV/atom

Material: NaSbO3
Method: DFT, PBE
State: optimized geometry

abc: 8.105 8.164 8.248
angles: 109.40 109.32 108.45
Sites, in units of the cell vectors:
Na 0.000 0.000 0.000
Na 0.014 0.483 0.322
Na 0.329 0.848 0.298
Na 0.500 0.500 0.000
Na 0.671 0.152 0.702
Na 0.986 0.517 0.678
Sb 0.159 0.163 0.501
Sb 0.340 0.003 0.840
Sb 0.499 0.340 0.337
Sb 0.501 0.660 0.663
Sb 0.660 0.997 0.160
Sb 0.841 0.837 0.499
O 0.010 0.863 0.366
O 0.048 0.835 0.718
O 0.274 0.456 0.661
O 0.283 0.122 0.328
O 0.335 0.220 0.046
O 0.337 0.795 0.619
O 0.359 0.863 0.003
O 0.362 0.509 0.365
O 0.384 0.173 0.714
O 0.616 0.827 0.286
O 0.638 0.491 0.635
O 0.641 0.137 0.997
O 0.663 0.205 0.381
O 0.665 0.780 0.954
O 0.717 0.878 0.672
O 0.726 0.544 0.339
O 0.952 0.165 0.282
O 0.990 0.137 0.634

## Properties
ΔH_f (0 K) ... -1995 meV/atom
Volume ... 426.45 Å³/cell
Energy with MP2020 corrections ... -6.054 eV/atom
E_tot ... -5.642 eV/atom

Material: Na2Sb4O11
Method: DFT, PBE
State: optimized geometry

abc: 10.589 10.589 7.268
angles: 94.96 94.96 42.32
Sites, in units of the cell vectors:
Na 0.026 0.026 0.281
Na 0.278 0.250 0.937
Na 0.750 0.722 0.063
Na 0.974 0.974 0.719
Sb 0.084 0.571 0.569
Sb 0.429 0.916 0.431
Sb 0.441 0.411 0.386
Sb 0.446 0.415 0.907
Sb 0.585 0.554 0.093
Sb 0.589 0.559 0.614
Sb 0.601 0.054 0.568
Sb 0.946 0.399 0.432
O 0.044 0.425 0.664
O 0.168 0.138 0.348
O 0.173 0.656 0.438
O 0.192 0.546 0.819
O 0.341 0.659 0.000
O 0.344 0.827 0.562
O 0.349 0.319 0.491
O 0.398 0.366 0.135
O 0.454 0.808 0.181
O 0.456 0.013 0.664
O 0.493 0.463 0.660
O 0.537 0.507 0.340
O 0.575 0.956 0.336
O 0.581 0.160 0.818
O 0.634 0.602 0.865
O 0.681 0.651 0.509
O 0.687 0.143 0.438
O 0.690 0.310 0.000
O 0.840 0.419 0.182
O 0.857 0.313 0.562
O 0.862 0.832 0.652
O 0.987 0.544 0.336

## Properties
ΔH_f (0 K) ... -1887 meV/atom
Volume ... 546.36 Å³/cell
Energy with MP2020 corrections ... -6.216 eV/atom
E_tot ... -5.771 eV/atom

Material: NaSbO12
Method: DFT, PBE
State: optimized geometry

abc: 8.969 8.969 8.969
angles: 60.00 60.00 60.00
Sites, in units of the cell vectors:
Na 0.125 0.125 0.125
Na 0.875 0.875 0.875
Sb 0.375 0.375 0.375
Sb 0.625 0.625 0.625
O 0.176 0.176 0.345
O 0.176 0.176 0.803
O 0.176 0.345 0.176
O 0.176 0.345 0.803
O 0.176 0.803 0.176
O 0.176 0.803 0.345
O 0.197 0.655 0.824
O 0.197 0.824 0.655
O 0.197 0.824 0.824
O 0.345 0.176 0.176
O 0.345 0.176 0.803
O 0.345 0.803 0.176
O 0.655 0.197 0.824
O 0.655 0.824 0.197
O 0.655 0.824 0.824
O 0.803 0.176 0.176
O 0.803 0.176 0.345
O 0.803 0.345 0.176
O 0.824 0.197 0.655
O 0.824 0.197 0.824
O 0.824 0.655 0.197
O 0.824 0.655 0.824
O 0.824 0.824 0.197
O 0.824 0.824 0.655

## Properties
ΔH_f (0 K) ... 496 meV/atom
Volume ... 510.22 Å³/cell
Energy with MP2020 corrections ... -4.134 eV/atom
E_tot ... -3.736 eV/atom

Material: NaSbO3
Method: DFT, PBE
State: optimized geometry

abc: 5.427 5.489 8.622
angles: 90.00 90.00 90.00
Sites, in units of the cell vectors:
Na 0.250 0.000 0.183
Na 0.250 0.500 0.317
Na 0.750 0.000 0.817
Na 0.750 0.500 0.683
Sb 0.250 0.000 0.596
Sb 0.250 0.500 0.904
Sb 0.750 0.000 0.404
Sb 0.750 0.500 0.096
O 0.068 0.183 0.422
O 0.068 0.317 0.078
O 0.117 0.250 0.750
O 0.383 0.750 0.750
O 0.432 0.683 0.078
O 0.432 0.817 0.422
O 0.568 0.183 0.578
O 0.568 0.317 0.922
O 0.617 0.250 0.250
O 0.883 0.750 0.250
O 0.932 0.683 0.922
O 0.932 0.817 0.578

## Properties
ΔH_f (0 K) ... -2009 meV/atom
Volume ... 256.82 Å³/cell
Energy with MP2020 corrections ... -6.068 eV/atom
E_tot ... -5.656 eV/atom

Material: Na6SbO5
Method: DFT, PBE
State: optimized geometry

abc: 6.109 6.109 10.965
angles: 90.00 90.00 55.98
Sites, in units of the cell vectors:
Na 0.070 0.336 0.250
Na 0.185 0.815 0.561
Na 0.185 0.815 0.939
Na 0.279 0.279 0.000
Na 0.279 0.279 0.500
Na 0.336 0.070 0.750
Na 0.664 0.930 0.250
Na 0.721 0.721 0.000
Na 0.721 0.721 0.500
Na 0.815 0.185 0.061
Na 0.815 0.185 0.439
Na 0.930 0.664 0.750
Sb 0.281 0.719 0.250
Sb 0.719 0.281 0.750
O 0.067 0.662 0.117
O 0.067 0.662 0.383
O 0.338 0.933 0.117
O 0.338 0.933 0.383
O 0.367 0.633 0.750
O 0.633 0.367 0.250
O 0.662 0.067 0.617
O 0.662 0.067 0.883
O 0.933 0.338 0.617
O 0.933 0.338 0.883

## Properties
ΔH_f (0 K) ... -1668 meV/atom
Volume ... 339.14 Å³/cell
Energy with MP2020 corrections ... -4.735 eV/atom
E_tot ... -4.448 eV/atom

Material: NaSbO2
Method: DFT, PBE
State: optimized geometry

abc: 7.582 7.726 5.641
angles: 90.00 128.88 90.00
Sites, in units of the cell vectors:
Na 0.000 0.123 0.250
Na 0.000 0.877 0.750
Na 0.500 0.377 0.750
Na 0.500 0.623 0.250
Sb 0.000 0.392 0.750
Sb 0.000 0.608 0.250
Sb 0.500 0.108 0.250
Sb 0.500 0.892 0.750
O 0.202 0.442 0.247
O 0.202 0.558 0.747
O 0.298 0.058 0.753
O 0.298 0.942 0.253
O 0.702 0.058 0.747
O 0.702 0.942 0.247
O 0.798 0.442 0.253
O 0.798 0.558 0.753

## Properties
ΔH_f (0 K) ... -1857 meV/atom
Volume ... 257.24 Å³/cell
Energy with MP2020 corrections ... -5.693 eV/atom
E_tot ... -5.350 eV/atom